The following is a PBE calculation of a geometry-optimized Cs3Mo15Se17 structure, from Materials Project.

Cell: 9.847 9.847 21.116 Å, 90.00 90.00 120.00°
Positions (direct):
Cs: 0.000 0.000 0.138
Cs: 0.000 0.000 0.362
Cs: 0.000 0.000 0.638
Cs: 0.000 0.000 0.862
Cs: 0.333 0.667 0.250
Cs: 0.667 0.333 0.750
Mo: 0.167 0.522 0.534
Mo: 0.167 0.522 0.966
Mo: 0.168 0.521 0.750
Mo: 0.185 0.685 0.643
Mo: 0.185 0.685 0.857
Mo: 0.315 0.501 0.643
Mo: 0.315 0.501 0.857
Mo: 0.353 0.832 0.750
Mo: 0.355 0.833 0.534
Mo: 0.355 0.833 0.966
Mo: 0.478 0.645 0.534
Mo: 0.478 0.645 0.966
Mo: 0.479 0.647 0.750
Mo: 0.499 0.815 0.643
Mo: 0.499 0.815 0.857
Mo: 0.501 0.185 0.143
Mo: 0.501 0.185 0.357
Mo: 0.521 0.353 0.250
Mo: 0.522 0.355 0.034
Mo: 0.522 0.355 0.466
Mo: 0.645 0.167 0.034
Mo: 0.645 0.167 0.466
Mo: 0.647 0.168 0.250
Mo: 0.685 0.499 0.143
Mo: 0.685 0.499 0.357
Mo: 0.815 0.315 0.143
Mo: 0.815 0.315 0.357
Mo: 0.832 0.479 0.250
Mo: 0.833 0.478 0.034
Mo: 0.833 0.478 0.466
Se: 0.010 0.381 0.642
Se: 0.010 0.381 0.858
Se: 0.046 0.707 0.750
Se: 0.047 0.705 0.542
Se: 0.047 0.705 0.958
Se: 0.293 0.339 0.750
Se: 0.295 0.342 0.542
Se: 0.295 0.342 0.958
Se: 0.333 0.667 0.062
Se: 0.333 0.667 0.438
Se: 0.339 0.046 0.250
Se: 0.342 0.047 0.042
Se: 0.342 0.047 0.458
Se: 0.371 0.990 0.642
Se: 0.371 0.990 0.858
Se: 0.381 0.371 0.142
Se: 0.381 0.371 0.358
Se: 0.619 0.629 0.642
Se: 0.619 0.629 0.858
Se: 0.629 0.010 0.142
Se: 0.629 0.010 0.358
Se: 0.658 0.953 0.542
Se: 0.658 0.953 0.958
Se: 0.661 0.954 0.750
Se: 0.667 0.333 0.562
Se: 0.667 0.333 0.938
Se: 0.705 0.658 0.042
Se: 0.705 0.658 0.458
Se: 0.707 0.661 0.250
Se: 0.953 0.295 0.042
Se: 0.953 0.295 0.458
Se: 0.954 0.293 0.250
Se: 0.990 0.619 0.142
Se: 0.990 0.619 0.358

## Properties
total magnetic moment	0.09	Bohr magnetons per cell
E	-7.08	eV per atom
calculated formation energy	-889	meV/atom

---

The following is a PBE calculation of a geometry-optimized CsMo6Se7 structure, from Materials Project.

Cell: 10.035 10.035 10.035 Å, 59.02 59.02 59.02°
Positions (direct):
Cs: 0.126 0.126 0.126
Cs: 0.874 0.874 0.874
Mo: 0.196 0.505 0.382
Mo: 0.307 0.439 0.620
Mo: 0.380 0.693 0.561
Mo: 0.382 0.196 0.505
Mo: 0.439 0.620 0.307
Mo: 0.495 0.618 0.804
Mo: 0.505 0.382 0.196
Mo: 0.561 0.380 0.693
Mo: 0.618 0.804 0.495
Mo: 0.620 0.307 0.439
Mo: 0.693 0.561 0.380
Mo: 0.804 0.495 0.618
Se: 0.082 0.332 0.692
Se: 0.133 0.739 0.485
Se: 0.261 0.515 0.867
Se: 0.279 0.279 0.279
Se: 0.308 0.918 0.668
Se: 0.332 0.692 0.082
Se: 0.485 0.133 0.739
Se: 0.515 0.867 0.261
Se: 0.668 0.308 0.918
Se: 0.692 0.082 0.332
Se: 0.721 0.721 0.721
Se: 0.739 0.485 0.133
Se: 0.867 0.261 0.515
Se: 0.918 0.668 0.308

## Properties
total magnetic moment	0.00	Bohr magnetons per cell
E	-7.10	eV per atom
calculated formation energy	-876	meV/atom

---

The following is a PBE calculation of a geometry-optimized Cs5Mo21Se23 structure, from Materials Project.

Cell: 9.888 9.888 30.199 Å, 90.00 90.00 120.00°
Positions (direct):
Cs: 0.000 0.000 0.093
Cs: 0.000 0.000 0.250
Cs: 0.000 0.000 0.407
Cs: 0.000 0.000 0.593
Cs: 0.000 0.000 0.750
Cs: 0.000 0.000 0.907
Cs: 0.333 0.667 0.167
Cs: 0.333 0.667 0.333
Cs: 0.667 0.333 0.667
Cs: 0.667 0.333 0.833
Mo: 0.169 0.646 0.524
Mo: 0.169 0.646 0.976
Mo: 0.169 0.647 0.675
Mo: 0.169 0.647 0.825
Mo: 0.186 0.502 0.600
Mo: 0.186 0.502 0.900
Mo: 0.189 0.502 0.750
Mo: 0.313 0.811 0.750
Mo: 0.316 0.814 0.600
Mo: 0.316 0.814 0.900
Mo: 0.353 0.522 0.675
Mo: 0.353 0.522 0.825
Mo: 0.354 0.523 0.524
Mo: 0.354 0.523 0.976
Mo: 0.477 0.831 0.524
Mo: 0.477 0.831 0.976
Mo: 0.478 0.831 0.675
Mo: 0.478 0.831 0.825
Mo: 0.498 0.684 0.600
Mo: 0.498 0.684 0.900
Mo: 0.498 0.687 0.750
Mo: 0.502 0.313 0.250
Mo: 0.502 0.316 0.100
Mo: 0.502 0.316 0.400
Mo: 0.522 0.169 0.175
Mo: 0.522 0.169 0.325
Mo: 0.523 0.169 0.024
Mo: 0.523 0.169 0.476
Mo: 0.646 0.477 0.024
Mo: 0.646 0.477 0.476
Mo: 0.647 0.478 0.175
Mo: 0.647 0.478 0.325
Mo: 0.684 0.186 0.100
Mo: 0.684 0.186 0.400
Mo: 0.687 0.189 0.250
Mo: 0.811 0.498 0.250
Mo: 0.814 0.498 0.100
Mo: 0.814 0.498 0.400
Mo: 0.831 0.353 0.175
Mo: 0.831 0.353 0.325
Mo: 0.831 0.354 0.024
Mo: 0.831 0.354 0.476
Se: 0.006 0.624 0.750
Se: 0.012 0.631 0.599
Se: 0.012 0.631 0.901
Se: 0.047 0.343 0.529
Se: 0.047 0.343 0.971
Se: 0.048 0.340 0.675
Se: 0.048 0.340 0.825
Se: 0.292 0.952 0.675
Se: 0.292 0.952 0.825
Se: 0.297 0.953 0.529
Se: 0.297 0.953 0.971
Se: 0.333 0.667 0.043
Se: 0.333 0.667 0.457
Se: 0.340 0.292 0.175
Se: 0.340 0.292 0.325
Se: 0.343 0.297 0.029
Se: 0.343 0.297 0.471
Se: 0.369 0.381 0.599
Se: 0.369 0.381 0.901
Se: 0.376 0.382 0.750
Se: 0.381 0.012 0.099
Se: 0.381 0.012 0.401
Se: 0.382 0.006 0.250
Se: 0.618 0.994 0.750
Se: 0.619 0.988 0.599
Se: 0.619 0.988 0.901
Se: 0.624 0.618 0.250
Se: 0.631 0.619 0.099
Se: 0.631 0.619 0.401
Se: 0.657 0.703 0.529
Se: 0.657 0.703 0.971
Se: 0.660 0.708 0.675
Se: 0.660 0.708 0.825
Se: 0.667 0.333 0.543
Se: 0.667 0.333 0.957
Se: 0.703 0.047 0.029
Se: 0.703 0.047 0.471
Se: 0.708 0.048 0.175
Se: 0.708 0.048 0.325
Se: 0.952 0.660 0.175
Se: 0.952 0.660 0.325
Se: 0.953 0.657 0.029
Se: 0.953 0.657 0.471
Se: 0.988 0.369 0.099
Se: 0.988 0.369 0.401
Se: 0.994 0.376 0.250

## Properties
total magnetic moment	0.46	Bohr magnetons per cell
E	-7.06	eV per atom
calculated formation energy	-906	meV/atom

---

The following is a PBE calculation of a geometry-optimized Cs3Te17Mo15 structure, from Materials Project.

Cell: 10.427 10.427 21.851 Å, 90.00 90.00 120.00°
Positions (direct):
Cs: 0.000 0.000 0.140
Cs: 0.000 0.000 0.360
Cs: 0.000 0.000 0.640
Cs: 0.000 0.000 0.860
Cs: 0.333 0.667 0.250
Cs: 0.667 0.333 0.750
Te: 0.007 0.375 0.643
Te: 0.007 0.375 0.857
Te: 0.039 0.702 0.543
Te: 0.039 0.702 0.957
Te: 0.041 0.705 0.750
Te: 0.295 0.335 0.750
Te: 0.298 0.337 0.543
Te: 0.298 0.337 0.957
Te: 0.333 0.667 0.066
Te: 0.333 0.667 0.434
Te: 0.335 0.041 0.250
Te: 0.337 0.039 0.043
Te: 0.337 0.039 0.457
Te: 0.368 0.993 0.643
Te: 0.368 0.993 0.857
Te: 0.375 0.368 0.143
Te: 0.375 0.368 0.357
Te: 0.625 0.632 0.643
Te: 0.625 0.632 0.857
Te: 0.632 0.007 0.143
Te: 0.632 0.007 0.357
Te: 0.663 0.961 0.543
Te: 0.663 0.961 0.957
Te: 0.665 0.959 0.750
Te: 0.667 0.333 0.566
Te: 0.667 0.333 0.934
Te: 0.702 0.663 0.043
Te: 0.702 0.663 0.457
Te: 0.705 0.665 0.250
Te: 0.959 0.295 0.250
Te: 0.961 0.298 0.043
Te: 0.961 0.298 0.457
Te: 0.993 0.625 0.143
Te: 0.993 0.625 0.357
Mo: 0.177 0.529 0.538
Mo: 0.177 0.529 0.962
Mo: 0.179 0.529 0.750
Mo: 0.192 0.682 0.643
Mo: 0.192 0.682 0.857
Mo: 0.318 0.510 0.643
Mo: 0.318 0.510 0.857
Mo: 0.351 0.821 0.750
Mo: 0.352 0.823 0.538
Mo: 0.352 0.823 0.962
Mo: 0.471 0.648 0.538
Mo: 0.471 0.648 0.962
Mo: 0.471 0.649 0.750
Mo: 0.490 0.808 0.643
Mo: 0.490 0.808 0.857
Mo: 0.510 0.192 0.143
Mo: 0.510 0.192 0.357
Mo: 0.529 0.351 0.250
Mo: 0.529 0.352 0.038
Mo: 0.529 0.352 0.462
Mo: 0.648 0.177 0.038
Mo: 0.648 0.177 0.462
Mo: 0.649 0.179 0.250
Mo: 0.682 0.490 0.143
Mo: 0.682 0.490 0.357
Mo: 0.808 0.318 0.143
Mo: 0.808 0.318 0.357
Mo: 0.821 0.471 0.250
Mo: 0.823 0.471 0.038
Mo: 0.823 0.471 0.462

## Properties
total magnetic moment	0.02	Bohr magnetons per cell
E	-6.67	eV per atom
calculated formation energy	-417	meV/atom